Below is a relaxed Mg4Si3 crystal, with properties calculated at the GGA-PBE level.

Lattice parameters (Å, degrees): 8.088 8.088 5.122 78.98 78.98 118.77
Fractional positions:
Si (0.865, 0.567, 0.991)
Si (0.131, 0.131, 0.323)
Si (0.567, 0.865, 0.991)
Mg (0.976, 0.723, 0.404)
Si (0.288, 0.682, 0.433)
Mg (0.947, 0.314, 0.675)
Mg (0.453, 0.453, 0.430)
Mg (0.723, 0.976, 0.404)
Mg (0.314, 0.947, 0.675)
Mg (0.217, 0.501, 0.016)
Mg (0.501, 0.217, 0.016)
Si (0.628, 0.628, 0.807)
Si (0.682, 0.288, 0.433)
Mg (0.959, 0.959, 0.899)

Polymorph energy (0 for the lowest one) in eV/f.u.: 0.35
DFT formation energy in kJ per mole of atoms: 5.2
Spin magnetization in μB/cell: 0.00